PaC2 | Materials Project | r2SCAN | relaxed; E_form = -112 kJ/mol of formula units; final energy = -32.64 eV per atom; calculated density = 10.6 g/cm³; total magnetic moment = 0.0 μB per cell
1.0
-1.811 1.811 3.046
1.811 -1.811 3.046
1.811 1.811 -3.046
Pa C
1 2
Direct
0.000 0.000 0.000
0.388 0.388 0.000
0.612 0.612 0.000